# 1
A relaxed K3HPdS2Cl2O6 crystal. Source: Materials Project, functional GGA-PBE.

The spin magnetization comes out at 0.00 Bohr magnetons per cell. The total energy comes out at -75.64 eV per formula unit.

Structure (CIF):
```
data_K3HPdS2Cl2O6
_chemical_formula_sum 'K12 H4 Pd4 S8 Cl8 O24'
_cell_length_a 15.316
_cell_length_b 10.624
_cell_length_c 7.144
_cell_angle_alpha 90.00
_cell_angle_beta 90.00
_cell_angle_gamma 90.00
_symmetry_space_group_name_H-M 'C m c 21'
_symmetry_Int_Tables_number 36
loop_
_symmetry_equiv_pos_as_xyz
'x,y,z'
'-x,-y,z+1/2'
'-x,y,z'
'x,-y,z+1/2'
'x+1/2,y+1/2,z'
'-x+1/2,-y+1/2,z+1/2'
'-x+1/2,y+1/2,z'
'x+1/2,-y+1/2,z+1/2'
loop_
_atom_site_label
_atom_site_type_symbol
_atom_site_fract_x
_atom_site_fract_y
_atom_site_fract_z
K1 K 0.000 0.121 0.000
K2 K 0.223 0.359 0.822
H1 H 0.000 0.489 0.249
Pd1 Pd 0.000 0.248 0.477
S1 S 0.109 0.352 0.319
Cl1 Cl 0.111 0.120 0.626
O1 O 0.079 0.484 0.255
O2 O 0.128 0.274 0.150
O3 O 0.190 0.373 0.429
```

***

# 2
A relaxed K4Re2HCl10O crystal. Source: Materials Project, functional GGA-PBE.

The spin magnetization comes out at 6.00 Bohr magnetons per cell. The total energy comes out at -76.90 eV per formula unit.

Structure (CIF):
```
data_K4Re2HCl10O
_chemical_formula_sum 'K8 Re4 H2 Cl20 O2'
_cell_length_a 7.240
_cell_length_b 7.240
_cell_length_c 18.003
_cell_angle_alpha 90.00
_cell_angle_beta 90.00
_cell_angle_gamma 90.00
_symmetry_space_group_name_H-M 'I 4/m m m'
_symmetry_Int_Tables_number 139
_symmetry_space_group_name_Hall '-I 4 2'
loop_
_atom_site_label
_atom_site_type_symbol
_atom_site_fract_x
_atom_site_fract_y
_atom_site_fract_z
K1 K 0.000 0.500 0.000
K2 K 0.000 0.500 0.250
Re1 Re 0.000 0.000 0.103
H1 H 0.000 0.000 0.500
Cl1 Cl 0.000 0.000 0.237
Cl2 Cl 0.235 0.235 0.112
O1 O 0.000 0.000 0.000
```

***

# 3
A relaxed K2H2RhCl5O crystal. Source: Materials Project, functional GGA-PBE.

The spin magnetization comes out at 8.01 Bohr magnetons per cell. The total energy comes out at -39.65 eV per formula unit.

Structure (CIF):
```
data_K2H2RhCl5O
_chemical_formula_sum 'K8 H8 Rh4 Cl20 O4'
_cell_length_a 14.603
_cell_length_b 9.773
_cell_length_c 8.056
_cell_angle_alpha 90.00
_cell_angle_beta 90.00
_cell_angle_gamma 90.00
_symmetry_space_group_name_H-M 'P n m a'
_symmetry_Int_Tables_number 62
loop_
_symmetry_equiv_pos_as_xyz
'x,y,z'
'-x,-y,-z'
'-x+1/2,-y,z+1/2'
'x+1/2,y,-z+1/2'
'x+1/2,-y+1/2,-z+1/2'
'-x+1/2,y+1/2,z+1/2'
'-x,y+1/2,-z'
'x,-y+1/2,z'
loop_
_atom_site_label
_atom_site_type_symbol
_atom_site_fract_x
_atom_site_fract_y
_atom_site_fract_z
K1 K 0.169 0.006 0.198
H1 H 0.058 0.047 0.838
Rh1 Rh 0.105 0.750 0.702
Cl1 Cl 0.008 0.750 0.948
Cl2 Cl 0.093 0.083 0.698
Cl3 Cl 0.208 0.750 0.464
Cl4 Cl 0.235 0.750 0.893
O1 O 0.006 0.750 0.576
```

***

# 4
A relaxed K2SnH2Cl4O crystal. Source: Materials Project, functional GGA-PBE.

The spin magnetization comes out at 0.00 Bohr magnetons per cell. The total energy comes out at -39.35 eV per formula unit.

Structure (CIF):
```
data_K2SnH2Cl4O
_chemical_formula_sum 'K8 Sn4 H8 Cl16 O4'
_cell_length_a 12.174
_cell_length_b 9.278
_cell_length_c 8.374
_cell_angle_alpha 90.00
_cell_angle_beta 90.00
_cell_angle_gamma 90.00
_symmetry_space_group_name_H-M 'P n m a'
_symmetry_Int_Tables_number 62
loop_
_symmetry_equiv_pos_as_xyz
'x,y,z'
'-x,-y,-z'
'-x+1/2,-y,z+1/2'
'x+1/2,y,-z+1/2'
'x+1/2,-y+1/2,-z+1/2'
'-x+1/2,y+1/2,z+1/2'
'-x,y+1/2,-z'
'x,-y+1/2,z'
loop_
_atom_site_label
_atom_site_type_symbol
_atom_site_fract_x
_atom_site_fract_y
_atom_site_fract_z
K1 K 0.184 0.018 0.130
Sn1 Sn 0.010 0.250 0.492
H1 H 0.040 0.750 0.923
H2 H 0.045 0.250 0.937
Cl1 Cl 0.057 0.053 0.706
Cl2 Cl 0.193 0.750 0.394
Cl3 Cl 0.235 0.750 0.899
O1 O 0.039 0.250 0.054
```

***

# 5
A relaxed KZnHCl3 crystal. Source: Materials Project, functional GGA-PBE.

The spin magnetization comes out at 4.00 Bohr magnetons per cell. The total energy comes out at -16.51 eV per formula unit.

Structure (CIF):
```
data_KZnHCl3
_chemical_formula_sum 'K4 Zn4 H4 Cl12'
_cell_length_a 6.666
_cell_length_b 8.988
_cell_length_c 11.821
_cell_angle_alpha 90.00
_cell_angle_beta 90.00
_cell_angle_gamma 90.00
_symmetry_space_group_name_H-M 'P 21 21 21'
_symmetry_Int_Tables_number 19
loop_
_symmetry_equiv_pos_as_xyz
'x,y,z'
'-x+1/2,-y,z+1/2'
'x+1/2,-y+1/2,-z'
'-x,y+1/2,-z+1/2'
loop_
_atom_site_label
_atom_site_type_symbol
_atom_site_fract_x
_atom_site_fract_y
_atom_site_fract_z
K1 K 0.189 0.013 0.007
Zn1 Zn 0.233 0.609 0.744
H1 H 0.174 0.567 0.274
Cl1 Cl 0.099 0.081 0.746
Cl2 Cl 0.107 0.273 0.384
Cl3 Cl 0.150 0.365 0.067
```

***

# 6
A relaxed LiMgH14Cl3O7 crystal. Source: Materials Project, functional GGA-PBE.

The spin magnetization comes out at 0.00 Bohr magnetons per cell. The total energy comes out at -122.84 eV per formula unit.

Structure (CIF):
```
data_LiMgH14Cl3O7
_chemical_formula_sum 'Li1 Mg1 H14 Cl3 O7'
_cell_length_a 6.676
_cell_length_b 6.690
_cell_length_c 6.894
_cell_angle_alpha 88.16
_cell_angle_beta 88.17
_cell_angle_gamma 88.16
_symmetry_space_group_name_H-M 'P 1'
_symmetry_Int_Tables_number 1
loop_
_symmetry_equiv_pos_as_xyz
'x,y,z'
loop_
_atom_site_label
_atom_site_type_symbol
_atom_site_fract_x
_atom_site_fract_y
_atom_site_fract_z
Li1 Li 0.000 0.000 0.000
Mg1 Mg 0.592 0.592 0.589
H1 H 0.138 0.311 0.152
H2 H 0.240 0.798 0.550
H3 H 0.256 0.668 0.362
H4 H 0.311 0.147 0.141
H5 H 0.358 0.252 0.662
H6 H 0.376 0.673 0.926
H7 H 0.553 0.243 0.787
H8 H 0.553 0.824 0.920
H9 H 0.665 0.361 0.257
H10 H 0.676 0.934 0.376
H11 H 0.791 0.556 0.244
H12 H 0.828 0.928 0.549
H13 H 0.926 0.550 0.819
H14 H 0.935 0.372 0.674
Cl1 Cl 0.077 0.070 0.667
Cl2 Cl 0.077 0.649 0.083
Cl3 Cl 0.648 0.084 0.078
O1 O 0.165 0.165 0.151
O2 O 0.311 0.682 0.491
O3 O 0.490 0.312 0.676
O4 O 0.505 0.703 0.861
O5 O 0.678 0.493 0.314
O6 O 0.706 0.867 0.502
O7 O 0.868 0.503 0.700
```

***

# 7
A relaxed Li4H3ClO3 crystal. Source: Materials Project, functional GGA-PBE.

The spin magnetization comes out at 0.00 Bohr magnetons per cell. The total energy comes out at -52.24 eV per formula unit.

Structure (CIF):
```
data_Li4H3ClO3
_chemical_formula_sum 'Li8 H6 Cl2 O6'
_cell_length_a 5.512
_cell_length_b 7.552
_cell_length_c 6.338
_cell_angle_alpha 90.00
_cell_angle_beta 94.38
_cell_angle_gamma 90.00
_symmetry_space_group_name_H-M 'P 1 21/m 1'
_symmetry_Int_Tables_number 11
loop_
_symmetry_equiv_pos_as_xyz
'x,y,z'
'-x,-y,-z'
'-x,y+1/2,-z'
'x,-y+1/2,z'
loop_
_atom_site_label
_atom_site_type_symbol
_atom_site_fract_x
_atom_site_fract_y
_atom_site_fract_z
Li1 Li 0.072 0.250 0.418
Li2 Li 0.353 0.515 0.643
Li3 Li 0.390 0.250 0.168
H1 H 0.179 0.750 0.881
H2 H 0.192 0.536 0.272
Cl1 Cl 0.178 0.250 0.818
O1 O 0.252 0.750 0.746
O2 O 0.289 0.055 0.347
```

***

# 8
A relaxed Li2ZnH2Cl4 crystal. Source: Materials Project, functional GGA-PBE.

The spin magnetization comes out at 8.00 Bohr magnetons per cell. The total energy comes out at -24.88 eV per formula unit.

Structure (CIF):
```
data_Li2ZnH2Cl4
_chemical_formula_sum 'Li8 Zn4 H8 Cl16'
_cell_length_a 6.264
_cell_length_b 10.250
_cell_length_c 11.442
_cell_angle_alpha 90.00
_cell_angle_beta 90.00
_cell_angle_gamma 90.00
_symmetry_space_group_name_H-M 'P 21 21 21'
_symmetry_Int_Tables_number 19
loop_
_symmetry_equiv_pos_as_xyz
'x,y,z'
'-x+1/2,-y,z+1/2'
'x+1/2,-y+1/2,-z'
'-x,y+1/2,-z+1/2'
loop_
_atom_site_label
_atom_site_type_symbol
_atom_site_fract_x
_atom_site_fract_y
_atom_site_fract_z
Li1 Li 0.215 0.126 0.278
Li2 Li 0.234 0.232 0.791
Zn1 Zn 0.241 0.533 0.553
H1 H 0.021 0.298 0.348
H2 H 0.133 0.032 0.662
Cl1 Cl 0.094 0.336 0.601
Cl2 Cl 0.105 0.961 0.411
Cl3 Cl 0.122 0.572 0.364
Cl4 Cl 0.126 0.710 0.659
```